Entry 1:
A plane-wave DFT calculation with PBE with a Hubbard U was carried out for an optimized crystal structure of Li3Fe4NiO8.

a = 5.999 Å, b = 5.999 Å, c = 5.987 Å
α = 60.27°, β = 60.27°, γ = 59.43°
Fractional positions:
Li1 0.000 0.500 0.000
Li2 0.000 0.000 0.500
Li3 0.500 0.000 0.000
Fe1 0.500 0.500 0.500
Fe2 0.000 0.000 0.000
Fe3 0.000 0.500 0.500
Fe4 0.500 0.000 0.500
Ni1 0.500 0.500 0.000
O1 0.254 0.254 0.266
O2 0.264 0.751 0.737
O3 0.751 0.264 0.737
O4 0.742 0.742 0.266
O5 0.258 0.258 0.734
O6 0.249 0.736 0.263
O7 0.736 0.249 0.263
O8 0.746 0.746 0.734

For the energy with MP2020 corrections, the calculation gives -7.0896 eV/atom. As for the formation enthalpy at 0 K: -1.7789 eV/atom. The size of the total moment is 21.024 Bohr magnetons per cell.

Entry 2:
A plane-wave DFT calculation with PBE with a Hubbard U was carried out for an optimized crystal structure of Li3FeSiCO7.

a = 6.448 Å, b = 5.023 Å, c = 8.414 Å
α = 86.75°, β = 90.00°, γ = 90.00°
Fractional positions:
Li1 0.750 0.247 0.894
Li2 0.976 0.769 0.726
Li3 0.524 0.769 0.726
Li4 0.476 0.231 0.274
Li5 0.024 0.231 0.274
Li6 0.250 0.753 0.106
Fe1 0.250 0.205 0.659
Fe2 0.750 0.795 0.341
Si1 0.750 0.288 0.579
Si2 0.250 0.712 0.421
C1 0.250 0.274 0.966
C2 0.750 0.726 0.034
O1 0.750 0.656 0.888
O2 0.250 0.027 0.929
O3 0.250 0.458 0.850
O4 0.946 0.186 0.692
O5 0.554 0.186 0.692
O6 0.750 0.618 0.555
O7 0.250 0.827 0.599
O8 0.750 0.173 0.401
O9 0.250 0.382 0.445
O10 0.446 0.814 0.308
O11 0.054 0.814 0.308
O12 0.750 0.542 0.150
O13 0.750 0.973 0.071
O14 0.250 0.344 0.112

For the energy with MP2020 corrections, the calculation gives -7.0790 eV/atom. As for the formation enthalpy at 0 K: -2.1954 eV/atom. The size of the total moment is 1.990 Bohr magnetons per cell.

Entry 3:
A plane-wave DFT calculation with PBE with a Hubbard U was carried out for an optimized crystal structure of LiCo4O8.

a = 5.637 Å, b = 5.658 Å, c = 10.596 Å
α = 105.86°, β = 106.04°, γ = 59.68°
Fractional positions:
Li1 0.503 0.997 0.000
Li2 0.997 0.503 0.500
Co1 0.250 0.750 0.250
Co2 0.750 0.250 0.750
Co3 0.250 0.750 0.750
Co4 0.750 0.750 0.750
Co5 0.250 0.250 0.750
Co6 0.750 0.250 0.250
Co7 0.250 0.250 0.250
Co8 0.750 0.750 0.250
O1 0.885 0.386 0.155
O2 0.386 0.887 0.656
O3 0.615 0.114 0.345
O4 0.114 0.613 0.844
O5 0.113 0.617 0.347
O6 0.616 0.115 0.848
O7 0.380 0.384 0.154
O8 0.880 0.884 0.654
O9 0.619 0.617 0.347
O10 0.118 0.118 0.846
O11 0.881 0.883 0.153
O12 0.382 0.382 0.654
O13 0.120 0.116 0.346
O14 0.620 0.616 0.846
O15 0.387 0.883 0.153
O16 0.884 0.385 0.652

For the energy with MP2020 corrections, the calculation gives -6.6828 eV/atom. As for the formation enthalpy at 0 K: -1.3038 eV/atom. As for the excess energy over the best structure of this formula in the dataset: 0 meV/atom.

Entry 4:
A plane-wave DFT calculation with PBE with a Hubbard U was carried out for an optimized crystal structure of SrLaMn2O5.

a = 5.532 Å, b = 5.661 Å, c = 16.382 Å
α = 90.00°, β = 90.00°, γ = 90.00°
Fractional positions:
Sr1 0.248 0.989 0.637
Sr2 0.748 0.511 0.363
Sr3 0.252 0.011 0.137
Sr4 0.752 0.489 0.863
La1 0.256 0.020 0.858
La2 0.756 0.480 0.142
La3 0.244 0.980 0.358
La4 0.744 0.520 0.642
Mn1 0.250 0.501 0.750
Mn2 0.750 0.999 0.250
Mn3 0.250 0.499 0.250
Mn4 0.750 0.001 0.750
Mn5 0.206 0.444 0.500
Mn6 0.706 0.056 0.500
Mn7 0.294 0.556 0.000
Mn8 0.794 0.944 0.000
O1 0.323 0.090 0.492
O2 0.823 0.410 0.508
O3 0.177 0.910 0.992
O4 0.677 0.590 0.008
O5 0.990 0.750 0.758
O6 0.490 0.750 0.242
O7 0.510 0.250 0.258
O8 0.010 0.250 0.742
O9 0.514 0.254 0.742
O10 0.014 0.246 0.258
O11 0.986 0.746 0.242
O12 0.486 0.754 0.758
O13 0.270 0.531 0.619
O14 0.770 0.969 0.381
O15 0.230 0.469 0.119
O16 0.730 0.031 0.881
O17 0.248 0.442 0.882
O18 0.748 0.058 0.118
O19 0.252 0.558 0.382
O20 0.752 0.942 0.618

For the energy with MP2020 corrections, the calculation gives -8.3039 eV/atom. As for the formation enthalpy at 0 K: -2.7828 eV/atom. As for the excess energy over the best structure of this formula in the dataset: 0 meV/atom. The size of the total moment is 36.002 Bohr magnetons per cell.

Entry 5:
A plane-wave DFT calculation with PBE with a Hubbard U was carried out for an optimized crystal structure of Na2Li2NiP6H24O30.

a = 10.419 Å, b = 10.413 Å, c = 15.051 Å
α = 108.99°, β = 90.00°, γ = 120.02°
Fractional positions:
Na1 0.360 0.226 0.095
Na2 0.134 0.774 0.405
Na3 0.640 0.774 0.905
Na4 0.866 0.226 0.595
Li1 0.228 0.476 0.247
Li2 0.752 0.524 0.253
Li3 0.772 0.524 0.753
Li4 0.248 0.476 0.747
Ni1 0.742 0.000 0.250
Ni2 0.258 0.000 0.750
P1 0.785 0.687 0.464
P2 0.098 0.313 0.036
P3 0.215 0.313 0.536
P4 0.902 0.687 0.964
P5 0.267 0.563 0.461
P6 0.705 0.437 0.039
P7 0.733 0.437 0.539
P8 0.295 0.563 0.961
P9 0.588 0.814 0.535
P10 0.775 0.186 0.965
P11 0.412 0.186 0.465
P12 0.225 0.814 0.035
H1 0.389 0.785 0.300
H2 0.604 0.215 0.200
H3 0.611 0.215 0.700
H4 0.396 0.785 0.800
H5 0.262 0.725 0.218
H6 0.536 0.275 0.282
H7 0.738 0.275 0.782
H8 0.464 0.725 0.718
H9 0.484 0.588 0.200
H10 0.897 0.412 0.300
H11 0.516 0.412 0.800
H12 0.103 0.588 0.700
H13 0.490 0.523 0.278
H14 0.968 0.477 0.222
H15 0.510 0.477 0.722
H16 0.032 0.523 0.778
H17 0.192 0.038 0.195
H18 0.154 0.962 0.305
H19 0.808 0.962 0.805
H20 0.846 0.038 0.695
H21 0.275 0.197 0.283
H22 0.077 0.803 0.217
H23 0.725 0.803 0.717
H24 0.923 0.197 0.783
H25 0.503 0.957 0.148
H26 0.545 0.043 0.352
H27 0.497 0.043 0.852
H28 0.455 0.957 0.648
H29 0.649 0.035 0.101
H30 0.614 0.965 0.399
H31 0.351 0.965 0.899
H32 0.386 0.035 0.601
H33 0.982 0.295 0.348
H34 0.687 0.705 0.152
H35 0.018 0.705 0.652
H36 0.313 0.295 0.848
H37 0.841 0.277 0.397
H38 0.563 0.723 0.103
H39 0.159 0.723 0.603
H40 0.437 0.277 0.897
H41 0.951 0.141 0.153
H42 0.811 0.859 0.347
H43 0.049 0.859 0.847
H44 0.189 0.141 0.653
H45 0.885 0.953 0.107
H46 0.932 0.047 0.393
H47 0.115 0.047 0.893
H48 0.068 0.953 0.607
O1 0.186 0.431 0.364
O2 0.755 0.569 0.136
O3 0.814 0.569 0.636
O4 0.245 0.431 0.864
O5 0.444 0.661 0.453
O6 0.783 0.339 0.047
O7 0.556 0.339 0.547
O8 0.217 0.661 0.953
O9 0.280 0.700 0.272
O10 0.580 0.300 0.228
O11 0.720 0.300 0.728
O12 0.420 0.700 0.772
O13 0.424 0.496 0.220
O14 0.928 0.504 0.280
O15 0.576 0.504 0.780
O16 0.072 0.496 0.720
O17 0.233 0.152 0.215
O18 0.081 0.848 0.285
O19 0.767 0.848 0.785
O20 0.919 0.152 0.715
O21 0.545 0.844 0.632
O22 0.701 0.156 0.868
O23 0.455 0.156 0.368
O24 0.299 0.844 0.132
O25 0.725 0.664 0.365
O26 0.061 0.336 0.135
O27 0.275 0.336 0.635
O28 0.939 0.664 0.865
O29 0.215 0.677 0.502
O30 0.538 0.323 0.998
O31 0.785 0.323 0.498
O32 0.462 0.677 0.002
O33 0.664 0.948 0.499
O34 0.717 0.052 0.001
O35 0.336 0.052 0.501
O36 0.283 0.948 0.999
O37 0.724 0.508 0.460
O38 0.216 0.492 0.040
O39 0.276 0.492 0.540
O40 0.784 0.508 0.960
O41 0.952 0.792 0.503
O42 0.160 0.208 0.997
O43 0.048 0.208 0.497
O44 0.840 0.792 0.003
O45 0.696 0.743 0.541
O46 0.953 0.257 0.959
O47 0.304 0.257 0.459
O48 0.047 0.743 0.041
O49 0.614 0.036 0.163
O50 0.577 0.964 0.337
O51 0.386 0.964 0.837
O52 0.423 0.036 0.663
O53 0.871 0.250 0.333
O54 0.621 0.750 0.167
O55 0.129 0.750 0.667
O56 0.379 0.250 0.833
O57 0.899 0.041 0.165
O58 0.858 0.959 0.335
O59 0.101 0.959 0.835
O60 0.142 0.041 0.665

For the energy with MP2020 corrections, the calculation gives -6.0593 eV/atom. As for the formation enthalpy at 0 K: -1.8348 eV/atom. The size of the total moment is 4.000 Bohr magnetons per cell.

Entry 6:
A plane-wave DFT calculation with PBE with a Hubbard U was carried out for an optimized crystal structure of Gd2MgCr2O8.

a = 6.102 Å, b = 6.255 Å, c = 6.242 Å
α = 107.92°, β = 105.15°, γ = 117.17°
Fractional positions:
Gd1 0.139 0.886 0.293
Gd2 0.864 0.149 0.745
Mg1 0.983 0.719 0.732
Cr1 0.397 0.618 0.753
Cr2 0.601 0.352 0.214
O1 0.790 0.729 0.429
O2 0.358 0.817 0.605
O3 0.761 0.778 0.916
O4 0.825 0.385 0.078
O5 0.651 0.263 0.469
O6 0.172 0.254 0.561
O7 0.237 0.145 0.011
O8 0.211 0.642 0.942

For the energy with MP2020 corrections, the calculation gives -9.5511 eV/atom. As for the formation enthalpy at 0 K: -2.7324 eV/atom. The size of the total moment is 14.304 Bohr magnetons per cell.

Entry 7:
A plane-wave DFT calculation with PBE with a Hubbard U was carried out for an optimized crystal structure of CaCr6O4F4.

a = 5.770 Å, b = 6.638 Å, c = 5.636 Å
α = 90.44°, β = 104.98°, γ = 88.81°
Fractional positions:
Ca1 0.003 0.373 0.776
Cr1 0.003 0.622 0.349
Cr2 0.997 0.972 0.029
Cr3 0.478 0.117 0.783
Cr4 0.502 0.621 0.757
Cr5 0.488 0.368 0.293
Cr6 0.519 0.872 0.262
O1 0.312 0.374 0.581
O2 0.661 0.863 0.967
O3 0.309 0.134 0.063
O4 0.683 0.606 0.481
F1 0.258 0.610 0.988
F2 0.281 0.880 0.478
F3 0.737 0.132 0.576
F4 0.750 0.378 0.058

For the energy with MP2020 corrections, the calculation gives -7.9084 eV/atom. As for the formation enthalpy at 0 K: -2.0835 eV/atom. The size of the total moment is 25.997 Bohr magnetons per cell.

Entry 8:
A plane-wave DFT calculation with PBE with a Hubbard U was carried out for an optimized crystal structure of Fe2Cl6O5.

a = 12.491 Å, b = 6.068 Å, c = 17.616 Å
α = 90.00°, β = 90.00°, γ = 90.00°
Fractional positions:
Fe1 0.018 0.537 0.753
Fe2 0.982 0.463 0.253
Fe3 0.482 0.537 0.253
Fe4 0.518 0.463 0.753
Fe5 0.745 0.919 0.500
Fe6 0.255 0.081 0.000
Fe7 0.755 0.919 0.000
Fe8 0.245 0.081 0.500
Cl1 0.028 0.915 0.744
Cl2 0.972 0.085 0.244
Cl3 0.472 0.915 0.244
Cl4 0.528 0.085 0.744
Cl5 0.196 0.446 0.755
Cl6 0.804 0.554 0.255
Cl7 0.304 0.446 0.255
Cl8 0.696 0.554 0.755
Cl9 0.945 0.441 0.861
Cl10 0.055 0.559 0.361
Cl11 0.555 0.441 0.361
Cl12 0.445 0.559 0.861
Cl13 0.945 0.417 0.648
Cl14 0.055 0.583 0.148
Cl15 0.555 0.417 0.148
Cl16 0.445 0.583 0.648
Cl17 0.670 0.214 0.558
Cl18 0.330 0.786 0.058
Cl19 0.830 0.214 0.058
Cl20 0.170 0.786 0.558
Cl21 0.873 0.118 0.441
Cl22 0.127 0.882 0.941
Cl23 0.627 0.118 0.941
Cl24 0.373 0.882 0.441
O1 0.208 0.826 0.744
O2 0.792 0.174 0.244
O3 0.292 0.826 0.244
O4 0.708 0.174 0.744
O5 0.779 0.909 0.600
O6 0.221 0.091 0.100
O7 0.721 0.909 0.100
O8 0.279 0.091 0.600
O9 0.643 0.735 0.529
O10 0.357 0.265 0.029
O11 0.857 0.735 0.029
O12 0.143 0.265 0.529
O13 0.712 0.943 0.399
O14 0.288 0.057 0.899
O15 0.788 0.943 0.899
O16 0.212 0.057 0.399
O17 0.798 0.664 0.470
O18 0.202 0.336 0.970
O19 0.702 0.664 0.970
O20 0.298 0.336 0.470

For the energy with MP2020 corrections, the calculation gives -3.9941 eV/atom. As for the formation enthalpy at 0 K: 0.0652 eV/atom. As for the excess energy over the best structure of this formula in the dataset: 0 meV/atom. The size of the total moment is 63.671 Bohr magnetons per cell.

Entry 9:
A plane-wave DFT calculation with PBE with a Hubbard U was carried out for an optimized crystal structure of LiMnP4O12.

a = 9.246 Å, b = 9.445 Å, c = 10.219 Å
α = 90.00°, β = 90.00°, γ = 90.00°
Fractional positions:
Li1 0.357 0.747 0.172
Li2 0.857 0.753 0.828
Li3 0.643 0.247 0.328
Li4 0.143 0.253 0.672
Mn1 0.001 0.260 0.293
Mn2 0.999 0.760 0.207
Mn3 0.501 0.240 0.707
Mn4 0.499 0.740 0.793
P1 0.500 0.021 0.979
P2 0.794 0.537 0.392
P3 0.501 0.945 0.388
P4 0.001 0.555 0.612
P5 0.000 0.479 0.021
P6 0.499 0.445 0.112
P7 0.294 0.963 0.608
P8 0.706 0.463 0.892
P9 0.206 0.037 0.108
P10 0.297 0.455 0.892
P11 0.000 0.979 0.479
P12 0.500 0.521 0.521
P13 0.203 0.545 0.392
P14 0.999 0.055 0.888
P15 0.703 0.955 0.608
P16 0.797 0.045 0.108
O1 0.005 0.138 0.451
O2 0.994 0.648 0.728
O3 0.495 0.862 0.951
O4 0.485 0.601 0.121
O5 0.006 0.148 0.772
O6 0.494 0.852 0.272
O7 0.320 0.357 0.776
O8 0.640 0.403 0.025
O9 0.505 0.362 0.549
O10 0.368 0.384 0.018
O11 0.625 0.562 0.421
O12 0.664 0.368 0.781
O13 0.995 0.638 0.049
O14 0.125 0.938 0.579
O15 0.629 0.057 0.075
O16 0.875 0.438 0.921
O17 0.340 0.608 0.876
O18 0.868 0.116 0.982
O19 0.160 0.392 0.376
O20 0.000 0.379 0.135
O21 0.132 0.616 0.518
O22 0.660 0.108 0.624
O23 0.500 0.621 0.635
O24 0.500 0.121 0.865
O25 0.840 0.892 0.124
O26 0.015 0.399 0.621
O27 0.129 0.443 0.925
O28 0.319 0.120 0.626
O29 0.164 0.132 0.219
O30 0.681 0.620 0.874
O31 0.375 0.062 0.079
O32 0.140 0.097 0.975
O33 0.871 0.943 0.575
O34 0.632 0.884 0.482
O35 0.506 0.352 0.228
O36 0.680 0.857 0.724
O37 0.180 0.643 0.276
O38 0.181 0.880 0.126
O39 0.336 0.868 0.719
O40 0.836 0.632 0.281
O41 0.860 0.597 0.525
O42 0.515 0.101 0.379
O43 0.819 0.380 0.374
O44 0.360 0.903 0.475
O45 0.820 0.143 0.224
O46 0.985 0.899 0.879
O47 0.371 0.557 0.425
O48 0.000 0.879 0.365

For the energy with MP2020 corrections, the calculation gives -7.6369 eV/atom. As for the formation enthalpy at 0 K: -2.5202 eV/atom. As for the excess energy over the best structure of this formula in the dataset: 55 meV/atom. The size of the total moment is 16.004 Bohr magnetons per cell.